[1]
Here is an optimized crystal structure of Eu2Ru2O7 from the Materials Project database. Energies are from PBE.

a b c (Å): 7.4291 7.4291 7.4291
angles (deg): 60.00 60.00 60.00
Positions (direct):
1 Eu 0.6250 0.6250 0.1250
2 Eu 0.6250 0.6250 0.6250
3 Eu 0.1250 0.6250 0.6250
4 Eu 0.6250 0.1250 0.6250
5 Ru 0.1250 0.1250 0.1250
6 Ru 0.6250 0.1250 0.1250
7 Ru 0.1250 0.6250 0.1250
8 Ru 0.1250 0.1250 0.6250
9 O 0.4525 0.0475 0.0475
10 O 0.7975 0.7975 0.2025
11 O 0.4525 0.0475 0.4525
12 O 0.2025 0.7975 0.7975
13 O 0.0475 0.0475 0.4525
14 O 0.0475 0.4525 0.0475
15 O 0.0475 0.4525 0.4525
16 O 0.7500 0.7500 0.7500
17 O 0.7975 0.2025 0.2025
18 O 0.2025 0.7975 0.2025
19 O 0.5000 0.5000 0.5000
20 O 0.4525 0.4525 0.0475
21 O 0.7975 0.2025 0.7975
22 O 0.2025 0.2025 0.7975

Summary:
Total DFT energy (no corrections) (eV for the cell shown): -187.940
Density (Mg/m³): 7.080
Crystal system: cubic
Calculated formation energy (eV/atom): -2.280

[2]
Here is an optimized crystal structure of Eu2SO2 from the Materials Project database. Energies are from PBE.

a b c (Å): 3.9245 3.9248 6.8014
angles (deg): 90.00 90.01 120.00
Positions (direct):
1 Eu 0.3334 0.6667 0.2812
2 Eu 0.6666 0.3333 0.7188
3 S 0.0000 0.0000 0.0000
4 O 0.3333 0.6667 0.6331
5 O 0.6667 0.3333 0.3669

Summary:
Total DFT energy (no corrections) (eV for the cell shown): -46.857
Density (Mg/m³): 6.735
Crystal system: trigonal
Calculated formation energy (eV/atom): -2.837

[3]
Here is an optimized crystal structure of EuSO4 from the Materials Project database. Energies are from PBE.

a b c (Å): 5.4284 6.9753 8.4425
angles (deg): 90.00 90.00 90.00
Positions (direct):
1 Eu 0.2500 0.3410 0.6888
2 Eu 0.7500 0.8410 0.8112
3 Eu 0.7500 0.6590 0.3112
4 Eu 0.2500 0.1590 0.1888
5 S 0.7500 0.1865 0.4427
6 S 0.2500 0.6865 0.0573
7 S 0.2500 0.8135 0.5573
8 S 0.7500 0.3135 0.9427
9 O 0.5253 0.3113 0.4248
10 O 0.2500 0.8992 0.3979
11 O 0.9747 0.1887 0.9248
12 O 0.0253 0.8113 0.0752
13 O 0.4747 0.8113 0.0752
14 O 0.9747 0.3113 0.4248
15 O 0.2500 0.6008 0.8979
16 O 0.7500 0.3992 0.1021
17 O 0.2500 0.9588 0.6863
18 O 0.7500 0.0412 0.3137
19 O 0.0253 0.6887 0.5752
20 O 0.2500 0.5412 0.1863
21 O 0.4747 0.6887 0.5752
22 O 0.7500 0.4588 0.8137
23 O 0.7500 0.1008 0.6021
24 O 0.5253 0.1887 0.9248

Summary:
Total DFT energy (no corrections) (eV for the cell shown): -188.497
Density (Mg/m³): 5.154
Crystal system: orthorhombic
Calculated formation energy (eV/atom): -2.614